Entry 1:
LiNiCSO7: relaxed, GGA+U.

Results
The formation energy comes out at -1.753 eV/atom. The uncorrected energy is -6.15 eV per atom. The total magnetization is 2.000 μB per cell.

abc: 6.479 5.011 8.612
angles: 86.17 90.00 90.00
Fractional coordinates of all 22 atoms:
O: 0.775 0.529 0.173
O: 0.259 0.041 0.873
O: 0.724 0.697 0.928
O: 0.266 0.844 0.574
O: 0.275 0.471 0.827
O: 0.069 0.833 0.332
O: 0.224 0.303 0.072
O: 0.759 0.959 0.127
O: 0.434 0.789 0.323
O: 0.727 0.569 0.551
O: 0.227 0.431 0.449
O: 0.569 0.167 0.668
O: 0.934 0.211 0.677
O: 0.766 0.156 0.426
C: 0.753 0.727 0.070
C: 0.253 0.273 0.930
Li: 0.996 0.220 0.222
Li: 0.496 0.780 0.778
S: 0.252 0.727 0.419
S: 0.752 0.273 0.581
Ni: 0.747 0.787 0.350
Ni: 0.247 0.213 0.650

=====

Entry 2:
W4NO12: relaxed, GGA+U.

Results
The formation energy comes out at -1.742 eV/atom. The uncorrected energy is -7.24 eV per atom. The total magnetization is 9.000 μB per cell.

abc: 7.529 7.529 15.403
angles: 90.00 90.00 120.00
Fractional coordinates of all 51 atoms:
W: 0.481 0.481 0.875
W: 0.519 0.000 0.375
W: 0.000 0.519 0.875
W: 0.481 0.000 0.625
W: 0.519 0.000 0.875
W: 0.519 0.519 0.625
W: 0.481 0.000 0.125
W: 0.000 0.481 0.125
W: 0.000 0.519 0.375
W: 0.481 0.481 0.375
W: 0.000 0.481 0.625
W: 0.519 0.519 0.125
O: 0.000 0.500 0.250
O: 0.500 0.500 0.250
O: 0.427 0.210 0.875
O: 0.783 0.210 0.125
O: 0.210 0.427 0.375
O: 0.573 0.783 0.375
O: 0.427 0.210 0.375
O: 0.783 0.573 0.875
O: 0.210 0.427 0.875
O: 0.790 0.573 0.625
O: 0.500 0.500 0.750
O: 0.500 0.000 0.250
O: 0.573 0.790 0.125
O: 0.790 0.217 0.875
O: 0.573 0.790 0.625
O: 0.790 0.573 0.125
O: 0.217 0.790 0.375
O: 0.783 0.210 0.625
O: 0.427 0.217 0.625
O: 0.210 0.783 0.625
O: 0.573 0.783 0.875
O: 0.790 0.217 0.375
O: 0.500 0.000 0.000
O: 0.217 0.790 0.875
O: 0.500 0.500 0.500
O: 0.783 0.573 0.375
O: 0.500 0.000 0.750
O: 0.500 0.000 0.500
O: 0.427 0.217 0.125
O: 0.000 0.500 0.750
O: 0.000 0.500 0.000
O: 0.210 0.783 0.125
O: 0.217 0.427 0.125
O: 0.000 0.500 0.500
O: 0.500 0.500 0.000
O: 0.217 0.427 0.625
N: 0.000 0.000 0.000
N: 0.000 0.000 0.750
N: 0.000 0.000 0.250

=====

Entry 3:
Ba2CoC2O6F2: relaxed, GGA+U.

Results
The formation energy comes out at -2.627 eV/atom. The uncorrected energy is -6.95 eV per atom. The total magnetization is 12.000 μB per cell.

abc: 6.749 9.088 11.704
angles: 90.00 90.00 90.00
Fractional coordinates of all 52 atoms:
Ba: 0.015 0.609 0.825
Ba: 0.985 0.891 0.325
Ba: 0.515 0.891 0.825
Ba: 0.485 0.109 0.175
Ba: 0.015 0.109 0.675
Ba: 0.985 0.391 0.175
Ba: 0.515 0.391 0.675
Ba: 0.485 0.609 0.325
O: 0.266 0.596 0.087
O: 0.196 0.313 0.823
O: 0.674 0.196 0.502
O: 0.734 0.904 0.587
O: 0.174 0.304 0.502
O: 0.734 0.404 0.913
O: 0.766 0.904 0.087
O: 0.674 0.696 0.998
O: 0.326 0.304 0.002
O: 0.826 0.696 0.498
O: 0.266 0.096 0.413
O: 0.696 0.187 0.823
O: 0.326 0.804 0.498
O: 0.766 0.404 0.413
O: 0.174 0.804 0.998
O: 0.304 0.813 0.177
O: 0.196 0.813 0.677
O: 0.696 0.687 0.677
O: 0.234 0.096 0.913
O: 0.826 0.196 0.002
O: 0.804 0.187 0.323
O: 0.304 0.313 0.323
O: 0.804 0.687 0.177
O: 0.234 0.596 0.587
F: 0.594 0.408 0.156
F: 0.906 0.408 0.656
F: 0.094 0.592 0.344
F: 0.594 0.908 0.344
F: 0.406 0.092 0.656
F: 0.094 0.092 0.156
F: 0.406 0.592 0.844
F: 0.906 0.908 0.844
C: 0.752 0.260 0.912
C: 0.252 0.240 0.912
C: 0.748 0.760 0.088
C: 0.252 0.740 0.588
C: 0.748 0.260 0.412
C: 0.248 0.740 0.088
C: 0.248 0.240 0.412
C: 0.752 0.760 0.588
Co: 0.500 0.000 0.500
Co: 0.000 0.000 0.000
Co: 0.000 0.500 0.500
Co: 0.500 0.500 0.000

=====

Entry 4:
Li7MnP4O16: relaxed, GGA+U.

Results
The formation energy comes out at -2.520 eV/atom. The uncorrected energy is -6.47 eV per atom. The total magnetization is 2.011 μB per cell.

abc: 5.951 4.763 10.221
angles: 89.82 90.00 90.00
Fractional coordinates of all 28 atoms:
O: 0.709 0.293 0.839
O: 0.000 0.690 0.963
O: 0.500 0.204 0.540
O: 0.200 0.736 0.179
O: 0.500 0.307 0.049
O: 0.000 0.801 0.441
O: 0.792 0.795 0.652
O: 0.208 0.795 0.652
O: 0.000 0.250 0.585
O: 0.000 0.264 0.117
O: 0.291 0.293 0.839
O: 0.500 0.748 0.905
O: 0.500 0.742 0.404
O: 0.287 0.193 0.331
O: 0.713 0.193 0.331
O: 0.800 0.736 0.179
P: 0.500 0.428 0.907
P: 0.000 0.930 0.589
P: 0.500 0.061 0.406
P: 0.000 0.588 0.104
Mn: 0.000 0.009 0.280
Li: 0.262 0.498 0.511
Li: 0.262 0.987 0.983
Li: 0.000 0.478 0.776
Li: 0.738 0.987 0.983
Li: 0.500 0.974 0.720
Li: 0.500 0.524 0.224
Li: 0.738 0.498 0.511

=====

Entry 5:
Li2VC2O6: relaxed, GGA+U.

Results
The relative energy among the computed polymorphs is 0.0014 eV per atom. The formation energy comes out at -2.130 eV/atom. The uncorrected energy is -7.15 eV per atom. The total magnetization is 5.973 μB per cell.

abc: 4.897 6.417 8.337
angles: 90.00 87.52 89.99
Fractional coordinates of all 22 atoms:
Li: 0.018 0.275 0.667
Li: 0.518 0.225 0.167
Li: 0.982 0.725 0.333
Li: 0.482 0.775 0.833
C: 0.014 0.275 0.323
C: 0.986 0.725 0.677
C: 0.514 0.225 0.823
C: 0.486 0.775 0.177
V: 0.000 0.000 0.000
V: 0.500 0.500 0.500
O: 0.346 0.803 0.050
O: 0.759 0.333 0.323
O: 0.654 0.197 0.950
O: 0.154 0.303 0.450
O: 0.741 0.833 0.177
O: 0.631 0.309 0.697
O: 0.241 0.667 0.677
O: 0.846 0.697 0.550
O: 0.869 0.809 0.803
O: 0.369 0.691 0.303
O: 0.259 0.167 0.823
O: 0.131 0.190 0.197

=====

Entry 6:
LiNiPCO7: relaxed, GGA+U.

Results
The formation energy comes out at -1.810 eV/atom. The uncorrected energy is -6.32 eV per atom. The total magnetization is 0.000 μB per cell.

abc: 6.353 5.089 8.634
angles: 86.03 90.00 90.00
Fractional coordinates of all 22 atoms:
O: 0.271 0.470 0.831
O: 0.729 0.582 0.539
O: 0.941 0.217 0.680
O: 0.758 0.953 0.118
O: 0.720 0.688 0.922
O: 0.258 0.047 0.882
O: 0.220 0.312 0.078
O: 0.771 0.530 0.169
O: 0.066 0.832 0.329
O: 0.566 0.168 0.671
O: 0.441 0.783 0.320
O: 0.229 0.418 0.461
O: 0.271 0.849 0.584
O: 0.771 0.151 0.416
Li: 0.494 0.778 0.769
Li: 0.994 0.222 0.231
Ni: 0.750 0.791 0.340
Ni: 0.250 0.209 0.660
P: 0.252 0.720 0.429
P: 0.752 0.280 0.571
C: 0.250 0.278 0.937
C: 0.750 0.722 0.063